No. 1
{
  "formula": "Mn2O3",
  "functional": "PBE with a Hubbard U",
  "state": "optimized geometry",
  "density_g_cm3": 4.7,
  "magnetic_moment_mub_per_fu": 8.0,
  "ef_kj_per_mol_atoms": -194.3,
  "dft_energy_ev_per_atom": -7.568,
  "spacegroup": "No. 61",
  "lattice": [[9.599, 0.000, 0.000], [0.000, 9.619, 0.000], [0.000, 0.000, 9.622]],
  "species": ["Mn", "Mn", "Mn", "Mn", "Mn", "Mn", "Mn", "Mn", "Mn", "Mn", "Mn", "Mn", "Mn", "Mn", "Mn", "Mn", "Mn", "Mn", "Mn", "Mn", "Mn", "Mn", "Mn", "Mn", "Mn", "Mn", "Mn", "Mn", "Mn", "Mn", "Mn", "Mn", "O", "O", "O", "O", "O", "O", "O", "O", "O", "O", "O", "O", "O", "O", "O", "O", "O", "O", "O", "O", "O", "O", "O", "O", "O", "O", "O", "O", "O", "O", "O", "O", "O", "O", "O", "O", "O", "O", "O", "O", "O", "O", "O", "O", "O", "O", "O", "O"],
  "fractional_positions": [[0.000, 0.000, 0.000], [0.000, 0.000, 0.500], [0.000, 0.500, 0.000], [0.000, 0.500, 0.500], [0.005, 0.245, 0.215], [0.005, 0.255, 0.715], [0.216, 0.007, 0.748], [0.216, 0.493, 0.248], [0.247, 0.714, 0.999], [0.247, 0.786, 0.499], [0.253, 0.214, 0.999], [0.253, 0.286, 0.499], [0.284, 0.507, 0.748], [0.284, 0.993, 0.248], [0.495, 0.745, 0.215], [0.495, 0.755, 0.715], [0.500, 0.000, 0.000], [0.500, 0.000, 0.500], [0.500, 0.500, 0.000], [0.500, 0.500, 0.500], [0.505, 0.245, 0.285], [0.505, 0.255, 0.785], [0.716, 0.007, 0.752], [0.716, 0.493, 0.252], [0.747, 0.714, 0.501], [0.747, 0.786, 0.001], [0.753, 0.214, 0.501], [0.753, 0.286, 0.001], [0.784, 0.507, 0.752], [0.784, 0.993, 0.252], [0.995, 0.745, 0.285], [0.995, 0.755, 0.785], [0.082, 0.624, 0.144], [0.082, 0.876, 0.644], [0.091, 0.137, 0.854], [0.091, 0.363, 0.354], [0.125, 0.641, 0.415], [0.125, 0.859, 0.915], [0.136, 0.150, 0.587], [0.136, 0.350, 0.087], [0.141, 0.588, 0.870], [0.141, 0.912, 0.370], [0.147, 0.082, 0.128], [0.147, 0.418, 0.628], [0.353, 0.582, 0.128], [0.353, 0.918, 0.628], [0.359, 0.088, 0.870], [0.359, 0.412, 0.370], [0.364, 0.650, 0.587], [0.364, 0.850, 0.087], [0.375, 0.141, 0.415], [0.375, 0.359, 0.915], [0.409, 0.637, 0.854], [0.409, 0.863, 0.354], [0.418, 0.124, 0.144], [0.418, 0.376, 0.644], [0.582, 0.624, 0.356], [0.582, 0.876, 0.856], [0.591, 0.137, 0.646], [0.591, 0.363, 0.146], [0.625, 0.641, 0.085], [0.625, 0.859, 0.585], [0.636, 0.150, 0.913], [0.636, 0.350, 0.413], [0.641, 0.588, 0.630], [0.641, 0.912, 0.130], [0.647, 0.082, 0.372], [0.647, 0.418, 0.872], [0.853, 0.582, 0.372], [0.853, 0.918, 0.872], [0.859, 0.088, 0.630], [0.859, 0.412, 0.130], [0.864, 0.650, 0.913], [0.864, 0.850, 0.413], [0.875, 0.141, 0.085], [0.875, 0.359, 0.585], [0.909, 0.637, 0.646], [0.909, 0.863, 0.146], [0.918, 0.124, 0.356], [0.918, 0.376, 0.856]]
}

***

No. 2
{
  "formula": "CrO2",
  "functional": "PBE with a Hubbard U",
  "state": "optimized geometry",
  "density_g_cm3": 3.4,
  "magnetic_moment_mub_per_fu": 2.0,
  "ef_kj_per_mol_atoms": -180.6,
  "dft_energy_ev_per_atom": -7.263,
  "spacegroup": "No. 59",
  "lattice": [[5.759, 0.000, 0.000], [0.000, 10.914, 0.000], [0.000, 0.000, 5.223]],
  "species": ["Cr", "Cr", "Cr", "Cr", "Cr", "Cr", "Cr", "Cr", "O", "O", "O", "O", "O", "O", "O", "O", "O", "O", "O", "O", "O", "O", "O", "O"],
  "fractional_positions": [[0.000, 0.000, 0.000], [0.000, 0.500, 0.000], [0.250, 0.009, 0.492], [0.250, 0.491, 0.492], [0.500, 0.000, 0.000], [0.500, 0.500, 0.000], [0.750, 0.509, 0.508], [0.750, 0.991, 0.508], [0.002, 0.588, 0.665], [0.002, 0.912, 0.665], [0.250, 0.090, 0.837], [0.250, 0.410, 0.837], [0.250, 0.586, 0.166], [0.250, 0.914, 0.166], [0.498, 0.588, 0.665], [0.498, 0.912, 0.665], [0.502, 0.088, 0.335], [0.502, 0.412, 0.335], [0.750, 0.086, 0.834], [0.750, 0.414, 0.834], [0.750, 0.590, 0.163], [0.750, 0.910, 0.163], [0.998, 0.088, 0.335], [0.998, 0.412, 0.335]]
}

***

No. 3
{
  "formula": "BaYMgCoCuO5",
  "functional": "PBE with a Hubbard U",
  "state": "optimized geometry",
  "density_g_cm3": 4.5,
  "magnetic_moment_mub_per_fu": 2.9,
  "ef_kj_per_mol_atoms": -205.4,
  "polymorph_energy_mev_per_atom": 0,
  "dft_energy_ev_per_atom": -6.214,
  "spacegroup": "No. 99",
  "lattice": [[3.917, 0.000, 0.000], [0.000, 3.917, 0.000], [0.000, 0.000, 10.806]],
  "species": ["Ba", "Y", "Mg", "Co", "Cu", "O", "O", "O", "O", "O"],
  "fractional_positions": [[0.000, 0.000, 0.000], [0.000, 0.000, 0.654], [0.000, 0.000, 0.383], [0.500, 0.500, 0.807], [0.500, 0.500, 0.467], [0.000, 0.500, 0.462], [0.000, 0.500, 0.756], [0.500, 0.000, 0.462], [0.500, 0.000, 0.756], [0.500, 0.500, 0.999]]
}

***

No. 4
{
  "formula": "CsRb3Mo6O20",
  "functional": "PBE with a Hubbard U",
  "state": "optimized geometry",
  "density_g_cm3": 3.8,
  "magnetic_moment_mub_per_fu": 0.0,
  "ef_kj_per_mol_atoms": -202.7,
  "dft_energy_ev_per_atom": -6.598,
  "spacegroup": "No. 1",
  "lattice": [[8.595, 0.000, 0.000], [2.327, 8.360, 0.000], [0.657, 3.966, 7.875]],
  "species": ["Cs", "Rb", "Rb", "Rb", "Mo", "Mo", "Mo", "Mo", "Mo", "Mo", "O", "O", "O", "O", "O", "O", "O", "O", "O", "O", "O", "O", "O", "O", "O", "O", "O", "O", "O", "O"],
  "fractional_positions": [[0.000, 0.000, 0.000], [0.155, 0.259, 0.367], [0.463, 0.210, 0.816], [0.618, 0.472, 0.181], [0.073, 0.579, 0.890], [0.276, 0.676, 0.447], [0.344, 0.792, 0.736], [0.544, 0.890, 0.293], [0.764, 0.539, 0.626], [0.855, 0.930, 0.556], [0.042, 0.863, 0.694], [0.069, 0.774, 0.390], [0.139, 0.347, 0.961], [0.252, 0.643, 0.948], [0.277, 0.588, 0.687], [0.296, 0.995, 0.750], [0.324, 0.474, 0.431], [0.342, 0.880, 0.496], [0.366, 0.827, 0.235], [0.481, 0.123, 0.222], [0.550, 0.693, 0.797], [0.577, 0.606, 0.487], [0.669, 0.867, 0.135], [0.710, 0.032, 0.654], [0.715, 0.831, 0.468], [0.734, 0.363, 0.817], [0.882, 0.109, 0.365], [0.904, 0.638, 0.714], [0.909, 0.436, 0.529], [0.948, 0.601, 0.048]]
}

***

No. 5
{
  "formula": "Na2ThMo3O12",
  "functional": "PBE with a Hubbard U",
  "state": "optimized geometry",
  "density_g_cm3": 5.0,
  "magnetic_moment_mub_per_fu": 0.0,
  "ef_kj_per_mol_atoms": -237.2,
  "dft_energy_ev_per_atom": -7.132,
  "spacegroup": "No. 15",
  "lattice": [[3.770, -5.865, 0.000], [3.770, 5.865, 0.000], [-3.761, 0.000, 11.411]],
  "species": ["Na", "Na", "Na", "Na", "Th", "Th", "Mo", "Mo", "Mo", "Mo", "Mo", "Mo", "O", "O", "O", "O", "O", "O", "O", "O", "O", "O", "O", "O", "O", "O", "O", "O", "O", "O", "O", "O", "O", "O", "O", "O"],
  "fractional_positions": [[0.039, 0.291, 0.078], [0.291, 0.039, 0.578], [0.709, 0.961, 0.422], [0.961, 0.709, 0.922], [0.377, 0.623, 0.750], [0.623, 0.377, 0.250], [0.126, 0.874, 0.250], [0.207, 0.458, 0.414], [0.458, 0.207, 0.914], [0.542, 0.793, 0.086], [0.793, 0.542, 0.586], [0.874, 0.126, 0.750], [0.003, 0.572, 0.712], [0.115, 0.688, 0.125], [0.118, 0.198, 0.440], [0.146, 0.241, 0.721], [0.198, 0.118, 0.940], [0.241, 0.146, 0.221], [0.245, 0.645, 0.552], [0.312, 0.885, 0.375], [0.355, 0.755, 0.948], [0.428, 0.997, 0.788], [0.454, 0.529, 0.119], [0.471, 0.546, 0.381], [0.529, 0.454, 0.619], [0.546, 0.471, 0.881], [0.572, 0.003, 0.212], [0.645, 0.245, 0.052], [0.688, 0.115, 0.625], [0.755, 0.355, 0.448], [0.759, 0.854, 0.779], [0.802, 0.882, 0.060], [0.854, 0.759, 0.279], [0.882, 0.802, 0.560], [0.885, 0.312, 0.875], [0.997, 0.428, 0.288]]
}

***

No. 6
{
  "formula": "LiCoO2",
  "functional": "PBE with a Hubbard U",
  "state": "optimized geometry",
  "density_g_cm3": 4.9,
  "ef_kj_per_mol_atoms": -169.0,
  "dft_energy_ev_per_atom": -5.727,
  "spacegroup": "No. 166",
  "lattice": [[2.843, 0.000, 0.000], [-1.421, 2.462, 0.000], [0.000, 0.000, 14.146]],
  "species": ["Li", "Li", "Li", "Co", "Co", "Co", "O", "O", "O", "O", "O", "O"],
  "fractional_positions": [[0.000, 0.000, 0.000], [0.333, 0.667, 0.667], [0.667, 0.333, 0.333], [0.000, 0.000, 0.500], [0.333, 0.667, 0.167], [0.667, 0.333, 0.833], [0.000, 0.000, 0.240], [0.000, 0.000, 0.760], [0.333, 0.667, 0.427], [0.333, 0.667, 0.906], [0.667, 0.333, 0.094], [0.667, 0.333, 0.573]]
}